Entry 1:
Compound: Mg14TiBiO16
Source: Materials Project
Functional: PBE
Structure: relaxed

Computed properties:
Formation energy ... -2.720 eV/atom

abc: 8.7354 8.7354 4.4177
angles: 90.00 90.00 90.00
Space group P4/mmm (No. 123)
One atom of each set of equivalent atoms:
Mg  0.0000  0.2496  0.0000
Mg  0.0000  0.5000  0.5000
Mg  0.2364  0.5000  0.0000
Mg  0.2418  0.2418  0.5000
Ti  0.0000  0.0000  0.5000
Bi  0.5000  0.5000  0.5000
O  0.0000  0.0000  0.0000
O  0.0000  0.2574  0.5000
O  0.0000  0.5000  0.0000
O  0.2316  0.5000  0.5000
O  0.2510  0.2510  0.0000
O  0.5000  0.5000  0.0000

=====

Entry 2:
Compound: Mn3SiNi2
Source: Materials Project
Functional: PBE
Structure: relaxed

Computed properties:
Formation energy ... -0.196 eV/atom

abc: 10.6881 10.6881 10.6881
angles: 90.00 90.00 90.00
Space group Fd-3m (No. 227, origin choice 2)
One atom of each set of equivalent atoms:
Mn  0.0655  0.3750  0.3750
Si  0.0000  0.0000  0.5000
Ni  0.0389  0.0389  0.7111

=====

Question: Look up the formation energy of the first one.
Answer: -2.720 eV/atom

=====

Question: What is the formula in the second record?
Answer: Mn3SiNi2